[1]
Compound: Rb2Na2SiO4
Source: the Materials Project database
Functional: PBE
Structure: optimized geometry Values from VASP.

The structure in Quantum ESPRESSO input format:
```
&SYSTEM
  ibrav = 0, nat = 72, ntyp = 4
/
ATOMIC_SPECIES
O 16.00 O.upf
Si 28.09 Si.upf
Na 22.99 Na.upf
Rb 85.47 Rb.upf
ATOMIC_POSITIONS crystal
O 0.191 0.310 0.619
O 0.842 0.394 0.698
O 0.039 0.852 0.588
O 0.461 0.352 0.588
O 0.878 0.163 0.774
O 0.191 0.190 0.119
O 0.961 0.352 0.912
O 0.658 0.894 0.698
O 0.622 0.663 0.774
O 0.309 0.690 0.119
O 0.309 0.810 0.619
O 0.039 0.648 0.088
O 0.158 0.606 0.302
O 0.809 0.690 0.381
O 0.622 0.837 0.274
O 0.122 0.837 0.226
O 0.842 0.106 0.198
O 0.342 0.106 0.302
O 0.342 0.394 0.802
O 0.158 0.894 0.802
O 0.378 0.337 0.226
O 0.878 0.337 0.274
O 0.658 0.606 0.198
O 0.378 0.163 0.726
O 0.809 0.810 0.881
O 0.961 0.148 0.412
O 0.539 0.648 0.412
O 0.461 0.148 0.088
O 0.691 0.310 0.881
O 0.691 0.190 0.381
O 0.539 0.852 0.912
O 0.122 0.663 0.726
Si 0.842 0.304 0.818
Si 0.842 0.196 0.318
Si 0.158 0.804 0.682
Si 0.658 0.696 0.318
Si 0.658 0.804 0.818
Si 0.342 0.304 0.682
Si 0.342 0.196 0.182
Si 0.158 0.696 0.182
Na 0.092 0.451 0.753
Na 0.467 0.251 0.406
Na 0.908 0.549 0.247
Na 0.092 0.049 0.253
Na 0.467 0.249 0.906
Na 0.408 0.549 0.253
Na 0.592 0.049 0.247
Na 0.033 0.749 0.906
Na 0.533 0.749 0.594
Na 0.908 0.951 0.747
Na 0.592 0.451 0.747
Na 0.967 0.249 0.594
Na 0.033 0.751 0.406
Na 0.408 0.951 0.753
Na 0.533 0.751 0.094
Na 0.967 0.251 0.094
Rb 0.140 0.350 0.364
Rb 0.640 0.350 0.136
Rb 0.298 0.563 0.536
Rb 0.640 0.150 0.636
Rb 0.202 0.437 0.036
Rb 0.798 0.563 0.964
Rb 0.860 0.850 0.136
Rb 0.798 0.937 0.464
Rb 0.702 0.437 0.464
Rb 0.360 0.850 0.364
Rb 0.360 0.650 0.864
Rb 0.298 0.937 0.036
Rb 0.860 0.650 0.636
Rb 0.702 0.063 0.964
Rb 0.140 0.150 0.864
Rb 0.202 0.063 0.536
CELL_PARAMETERS angstrom
-3.675 -8.548 -3.476
7.712 -5.592 5.599
-6.913 -0.640 8.882
```

Summary:
Corrected total energy (MP2020 scheme): -5.648 eV/atom
Formation enthalpy at 0 K: -2.3342 eV/atom
Magnetization: 0.0000 μB/atom



[2]
Compound: Rb3Ca
Source: the Materials Project database
Functional: PBE
Structure: optimized geometry Values from VASP.

The structure in Quantum ESPRESSO input format:
```
&SYSTEM
  ibrav = 0, nat = 8, ntyp = 2
/
ATOMIC_SPECIES
Rb 85.47 Rb.upf
Ca 40.08 Ca.upf
ATOMIC_POSITIONS crystal
Rb 0.172 0.344 0.250
Rb 0.344 0.172 0.750
Rb 0.828 0.172 0.750
Rb 0.656 0.828 0.250
Rb 0.828 0.656 0.750
Rb 0.172 0.828 0.250
Ca 0.667 0.333 0.250
Ca 0.333 0.667 0.750
CELL_PARAMETERS angstrom
4.725 -8.183 0.000
4.725 8.183 0.000
0.000 0.000 7.672
```

Summary:
Formation enthalpy at 0 K: 0.1866 eV/atom
Magnetization: 0.0006 μB/atom